Entry 1:
Computed, not measured: a relaxed structure of Cs3HgCl5 at the PBE level of DFT.

As for the formation energy: -1.876 eV per atom. Its symmetry is No. 62. The calculated volume is 1401.6 Å³ per cell.

Structure (CIF):
```
data_Cs3HgCl5
_chemical_formula_sum 'Cs12 Hg4 Cl20'
_cell_length_a 9.1770
_cell_length_b 10.9477
_cell_length_c 13.9513
_cell_angle_alpha 90.00
_cell_angle_beta 90.00
_cell_angle_gamma 90.00
_symmetry_space_group_name_H-M 'P 1'
_symmetry_Int_Tables_number 1
_symmetry_space_group_name_Hall 'P 1'
loop_
_atom_site_label
_atom_site_fract_x
_atom_site_fract_y
_atom_site_fract_z
_atom_site_occupancy
Cl1 0.8392 0.2500 0.7642 1
Cs1 0.5894 0.4733 0.8338 1
Cs2 0.0903 0.2500 0.9519 1
Cl2 0.8729 0.7500 0.7904 1
Cl3 0.3729 0.7500 0.7096 1
Cs3 0.5903 0.2500 0.5481 1
Cl4 0.1850 0.9496 0.9316 1
Cl5 0.3392 0.2500 0.7358 1
Cl6 0.6271 0.2500 0.2904 1
Hg1 0.7026 0.2500 0.1174 1
Cl7 0.3150 0.0504 0.4316 1
Hg2 0.2974 0.7500 0.8826 1
Cl8 0.6850 0.5504 0.5684 1
Cl9 0.8150 0.0504 0.0684 1
Hg3 0.7974 0.7500 0.6174 1
Cl10 0.9668 0.2500 0.4863 1
Cs4 0.9097 0.7500 0.0481 1
Cl11 0.1850 0.5504 0.9316 1
Cs5 0.0894 0.0267 0.6662 1
Cl12 0.1608 0.7500 0.2358 1
Cl13 0.6850 0.9496 0.5684 1
Cl14 0.1271 0.2500 0.2096 1
Cl15 0.8150 0.4496 0.0684 1
Cs6 0.0894 0.4733 0.6662 1
Cl16 0.5332 0.7500 0.9863 1
Cs7 0.4097 0.7500 0.4519 1
Cl17 0.4668 0.2500 0.0137 1
Cs8 0.5894 0.0267 0.8338 1
Cl18 0.3150 0.4496 0.4316 1
Cs9 0.4106 0.5267 0.1662 1
Cl19 0.0332 0.7500 0.5137 1
Cs10 0.9106 0.9733 0.3338 1
Hg4 0.2026 0.2500 0.3826 1
Cs11 0.9106 0.5267 0.3338 1
Cs12 0.4106 0.9733 0.1662 1
Cl20 0.6608 0.7500 0.2642 1
```



Entry 2:
Computed, not measured: a relaxed structure of Cs2HgSbCl6 at the PBE level of DFT.

As for the formation energy: -1.608 eV per atom. Its symmetry is No. 225. Its total magnetic moment is 0.04 Bohr magnetons per cell. The calculated volume is 348.8 Å³ per cell.

Structure (CIF):
```
data_Cs2HgSbCl6
_chemical_formula_sum 'Cs2 Hg1 Sb1 Cl6'
_cell_length_a 7.9013
_cell_length_b 7.9013
_cell_length_c 7.9013
_cell_angle_alpha 60.00
_cell_angle_beta 60.00
_cell_angle_gamma 60.00
_symmetry_space_group_name_H-M 'P 1'
_symmetry_Int_Tables_number 1
_symmetry_space_group_name_Hall 'P 1'
loop_
_atom_site_label
_atom_site_fract_x
_atom_site_fract_y
_atom_site_fract_z
_atom_site_occupancy
Cs1 0.7500 0.7500 0.7500 1
Cl1 0.2365 0.7635 0.2365 1
Sb1 0.0000 0.0000 0.0000 1
Cs2 0.2500 0.2500 0.2500 1
Cl2 0.7635 0.7635 0.2365 1
Hg1 0.5000 0.5000 0.5000 1
Cl3 0.2365 0.2365 0.7635 1
Cl4 0.2365 0.7635 0.7635 1
Cl5 0.7635 0.2365 0.2365 1
Cl6 0.7635 0.2365 0.7635 1
```



Entry 3:
Computed, not measured: a relaxed structure of Cs2YHgCl6 at the PBE level of DFT.

As for the formation energy: -2.128 eV per atom. Its symmetry is No. 225. Its total magnetic moment is 0.90 Bohr magnetons per cell. The calculated volume is 354.2 Å³ per cell.

Structure (CIF):
```
data_Cs2YHgCl6
_chemical_formula_sum 'Cs2 Y1 Hg1 Cl6'
_cell_length_a 7.9422
_cell_length_b 7.9422
_cell_length_c 7.9422
_cell_angle_alpha 60.00
_cell_angle_beta 60.00
_cell_angle_gamma 60.00
_symmetry_space_group_name_H-M 'P 1'
_symmetry_Int_Tables_number 1
_symmetry_space_group_name_Hall 'P 1'
loop_
_atom_site_label
_atom_site_fract_x
_atom_site_fract_y
_atom_site_fract_z
_atom_site_occupancy
Y1 0.0000 0.0000 0.0000 1
Cl1 0.7645 0.2355 0.7645 1
Cl2 0.2355 0.2355 0.7645 1
Hg1 0.5000 0.5000 0.5000 1
Cl3 0.7645 0.7645 0.2355 1
Cl4 0.7645 0.2355 0.2355 1
Cl5 0.2355 0.7645 0.7645 1
Cl6 0.2355 0.7645 0.2355 1
Cs1 0.2500 0.2500 0.2500 1
Cs2 0.7500 0.7500 0.7500 1
```



Entry 4:
Computed, not measured: a relaxed structure of Cs2KHoCl6 at the PBE level of DFT.

As for the formation energy: -2.522 eV per atom. Its symmetry is No. 225. Its total magnetic moment is 0.00 Bohr magnetons per cell. The calculated volume is 361.8 Å³ per cell.

Structure (CIF):
```
data_Cs2KHoCl6
_chemical_formula_sum 'Cs2 K1 Ho1 Cl6'
_cell_length_a 7.9980
_cell_length_b 7.9980
_cell_length_c 7.9980
_cell_angle_alpha 60.00
_cell_angle_beta 60.00
_cell_angle_gamma 60.00
_symmetry_space_group_name_H-M 'P 1'
_symmetry_Int_Tables_number 1
_symmetry_space_group_name_Hall 'P 1'
loop_
_atom_site_label
_atom_site_fract_x
_atom_site_fract_y
_atom_site_fract_z
_atom_site_occupancy
Cl1 0.2674 0.2674 0.7326 1
Cl2 0.2674 0.7326 0.2674 1
Cl3 0.2674 0.7326 0.7326 1
Cl4 0.7326 0.7326 0.2674 1
K1 0.0000 0.0000 0.0000 1
Ho1 0.5000 0.5000 0.5000 1
Cs1 0.7500 0.7500 0.7500 1
Cl5 0.7326 0.2674 0.2674 1
Cs2 0.2500 0.2500 0.2500 1
Cl6 0.7326 0.2674 0.7326 1
```



Entry 5:
Computed, not measured: a relaxed structure of Cs2NaHoCl6 at the PBE level of DFT.

As for the formation energy: -2.503 eV per atom. Its symmetry is No. 225. Its total magnetic moment is 0.00 Bohr magnetons per cell. The calculated volume is 319.9 Å³ per cell.

Structure (CIF):
```
data_Cs2NaHoCl6
_chemical_formula_sum 'Cs2 Na1 Ho1 Cl6'
_cell_length_a 7.6765
_cell_length_b 7.6765
_cell_length_c 7.6765
_cell_angle_alpha 60.00
_cell_angle_beta 60.00
_cell_angle_gamma 60.00
_symmetry_space_group_name_H-M 'P 1'
_symmetry_Int_Tables_number 1
_symmetry_space_group_name_Hall 'P 1'
loop_
_atom_site_label
_atom_site_fract_x
_atom_site_fract_y
_atom_site_fract_z
_atom_site_occupancy
Cl1 0.7577 0.2423 0.2423 1
Cl2 0.2423 0.7577 0.7577 1
Cl3 0.7577 0.2423 0.7577 1
Cs1 0.7500 0.7500 0.7500 1
Cl4 0.2423 0.7577 0.2423 1
Ho1 0.0000 0.0000 0.0000 1
Cl5 0.7577 0.7577 0.2423 1
Na1 0.5000 0.5000 0.5000 1
Cs2 0.2500 0.2500 0.2500 1
Cl6 0.2423 0.2423 0.7577 1
```



Entry 6:
Computed, not measured: a relaxed structure of Cs8Na4Y3HoCl24 at the PBE level of DFT.

As for the formation energy: -2.501 eV per atom. Its symmetry is No. 47. Its total magnetic moment is 0.01 Bohr magnetons per cell. The calculated volume is 1294.1 Å³ per cell.

Structure (CIF):
```
data_Cs8Na4Y3HoCl24
_chemical_formula_sum 'Cs8 Na4 Y3 Ho1 Cl24'
_cell_length_a 7.7023
_cell_length_b 10.8940
_cell_length_c 15.4229
_cell_angle_alpha 90.00
_cell_angle_beta 90.00
_cell_angle_gamma 90.00
_symmetry_space_group_name_H-M 'P 1'
_symmetry_Int_Tables_number 1
_symmetry_space_group_name_Hall 'P 1'
loop_
_atom_site_label
_atom_site_fract_x
_atom_site_fract_y
_atom_site_fract_z
_atom_site_occupancy
Y1 0.5000 0.5000 0.2500 1
Cs1 0.0000 0.2499 0.7501 1
Cs2 0.0000 0.7501 0.7501 1
Cl1 0.2412 0.0000 0.8794 1
Cl2 0.0000 0.7588 0.0000 1
Cl3 0.2571 0.5000 0.6286 1
Cl4 0.2429 0.0000 0.6214 1
Cl5 0.7571 0.0000 0.3786 1
Cl6 0.7430 0.5000 0.1286 1
Cl7 0.7588 0.0000 0.1206 1
Cl8 0.0000 0.7571 0.5000 1
Cl9 0.2412 0.0000 0.1206 1
Na1 0.5000 0.0000 0.7502 1
Cs3 0.0000 0.7501 0.2499 1
Cl10 0.7571 0.0000 0.6214 1
Y2 0.0000 0.0000 0.5000 1
Ho1 0.0000 0.0000 0.0000 1
Cl11 0.2571 0.5000 0.3714 1
Na2 0.5000 0.0000 0.2498 1
Cs4 0.0000 0.2499 0.2499 1
Cs5 0.5000 0.7501 0.0000 1
Cl12 0.7429 0.5000 0.6286 1
Cl13 0.5000 0.2570 0.7500 1
Na3 0.0000 0.5000 0.5000 1
Cl14 0.5000 0.7430 0.2500 1
Cl15 0.7430 0.5000 0.8714 1
Na4 0.0000 0.5000 0.0000 1
Cl16 0.5000 0.7430 0.7500 1
Cl17 0.7429 0.5000 0.3714 1
Y3 0.5000 0.5000 0.7500 1
Cl18 0.2570 0.5000 0.1286 1
Cl19 0.5000 0.2570 0.2500 1
Cl20 0.7588 0.0000 0.8794 1
Cl21 0.0000 0.2412 0.0000 1
Cs6 0.5000 0.2500 0.5000 1
Cs7 0.5000 0.2499 0.0000 1
Cl22 0.2429 0.0000 0.3786 1
Cl23 0.2570 0.5000 0.8714 1
Cl24 0.0000 0.2429 0.5000 1
Cs8 0.5000 0.7500 0.5000 1
```



Entry 7:
Computed, not measured: a relaxed structure of Cs8Na4Y3HoCl24 at the PBE level of DFT.

As for the formation energy: -2.501 eV per atom. Its symmetry is No. 123. The calculated volume is 1293.3 Å³ per cell.

Structure (CIF):
```
data_Cs8Na4Y3HoCl24
_chemical_formula_sum 'Cs8 Na4 Y3 Ho1 Cl24'
_cell_length_a 7.7040
_cell_length_b 7.7040
_cell_length_c 21.7896
_cell_angle_alpha 90.00
_cell_angle_beta 90.00
_cell_angle_gamma 90.00
_symmetry_space_group_name_H-M 'P 1'
_symmetry_Int_Tables_number 1
_symmetry_space_group_name_Hall 'P 1'
loop_
_atom_site_label
_atom_site_fract_x
_atom_site_fract_y
_atom_site_fract_z
_atom_site_occupancy
Y1 0.5000 0.5000 0.7500 1
Na1 0.5000 0.5000 0.0000 1
Cs1 0.5000 0.0000 0.1249 1
Cl1 0.7429 0.7429 0.2500 1
Cl2 0.0000 0.0000 0.6215 1
Cs2 0.5000 0.0000 0.8751 1
Na2 0.0000 0.0000 0.2499 1
Cs3 0.5000 0.0000 0.3750 1
Cl3 0.0000 0.0000 0.3785 1
Cl4 0.0000 0.0000 0.8794 1
Cl5 0.7429 0.2571 0.2500 1
Cl6 0.7571 0.7571 0.5000 1
Na3 0.5000 0.5000 0.5000 1
Cl7 0.0000 0.0000 0.1206 1
Na4 0.0000 0.0000 0.7501 1
Cl8 0.7429 0.7429 0.7500 1
Cl9 0.2429 0.2429 0.5000 1
Cl10 0.7587 0.2413 0.0000 1
Cl11 0.2571 0.7429 0.7500 1
Cs4 0.0000 0.5000 0.3750 1
Cl12 0.2429 0.7571 0.5000 1
Cl13 0.7429 0.2571 0.7500 1
Cl14 0.7571 0.2429 0.5000 1
Cl15 0.5000 0.5000 0.3715 1
Cl16 0.2571 0.2571 0.7500 1
Cs5 0.0000 0.5000 0.6250 1
Cl17 0.2571 0.2571 0.2500 1
Y2 0.0000 0.0000 0.5000 1
Cs6 0.0000 0.5000 0.8751 1
Cs7 0.5000 0.0000 0.6250 1
Cl18 0.2413 0.2413 0.0000 1
Cl19 0.2413 0.7587 0.0000 1
Cs8 0.0000 0.5000 0.1249 1
Ho1 0.0000 0.0000 0.0000 1
Cl20 0.7587 0.7587 0.0000 1
Cl21 0.5000 0.5000 0.1285 1
Y3 0.5000 0.5000 0.2500 1
Cl22 0.5000 0.5000 0.6285 1
Cl23 0.5000 0.5000 0.8715 1
Cl24 0.2571 0.7429 0.2500 1
```



Entry 8:
Computed, not measured: a relaxed structure of CsLiICl at the PBE level of DFT.

As for the formation energy: -1.566 eV per atom. Its symmetry is No. 123. Its total magnetic moment is 0.00 Bohr magnetons per cell. The calculated volume is 163.0 Å³ per cell.

Structure (CIF):
```
data_CsLiICl
_chemical_formula_sum 'Cs1 Li1 I1 Cl1'
_cell_length_a 4.6286
_cell_length_b 4.6286
_cell_length_c 7.6060
_cell_angle_alpha 90.00
_cell_angle_beta 90.00
_cell_angle_gamma 90.00
_symmetry_space_group_name_H-M 'P 1'
_symmetry_Int_Tables_number 1
_symmetry_space_group_name_Hall 'P 1'
loop_
_atom_site_label
_atom_site_fract_x
_atom_site_fract_y
_atom_site_fract_z
_atom_site_occupancy
I1 0.5000 0.5000 0.0000 1
Cl1 0.0000 0.0000 0.5000 1
Li1 0.0000 0.0000 0.0000 1
Cs1 0.5000 0.5000 0.5000 1
```



Entry 9:
Computed, not measured: a relaxed structure of CsMo3I3Cl4 at the PBE level of DFT.

As for the formation energy: -1.122 eV per atom. Its symmetry is No. 159. Its total magnetic moment is 0.01 Bohr magnetons per cell. The calculated volume is 1654.5 Å³ per cell.

Structure (CIF):
```
data_CsMo3I3Cl4
_chemical_formula_sum 'Cs4 Mo12 I12 Cl16'
_cell_length_a 10.8136
_cell_length_b 10.8136
_cell_length_c 16.3380
_cell_angle_alpha 90.00
_cell_angle_beta 90.00
_cell_angle_gamma 120.00
_symmetry_space_group_name_H-M 'P 1'
_symmetry_Int_Tables_number 1
_symmetry_space_group_name_Hall 'P 1'
loop_
_atom_site_label
_atom_site_fract_x
_atom_site_fract_y
_atom_site_fract_z
_atom_site_occupancy
I1 0.0266 0.3298 0.3692 1
I2 0.3032 0.9734 0.3692 1
Mo1 0.5311 0.3429 0.1467 1
I3 0.0439 0.6719 0.0533 1
Cl1 0.4083 0.3463 0.2755 1
I4 0.6968 0.6702 0.8692 1
Cl2 0.0620 0.6537 0.7755 1
Cl3 0.6667 0.3333 0.0257 1
I5 0.6702 0.6968 0.3692 1
I6 0.3720 0.3281 0.5533 1
Cs1 0.0000 0.0000 0.9984 1
I7 0.3281 0.3720 0.0533 1
Cl4 0.3463 0.4083 0.7755 1
Mo2 0.1964 0.5224 0.7779 1
Cs2 0.3333 0.6667 0.2163 1
Mo3 0.4776 0.6740 0.7779 1
Cl5 0.3921 0.0779 0.1488 1
Mo4 0.6740 0.4776 0.2779 1
Mo5 0.5224 0.1964 0.2779 1
Cs3 0.6667 0.3333 0.7163 1
Cl6 0.9380 0.5917 0.2755 1
Cl7 0.6667 0.3333 0.3981 1
Cl8 0.9221 0.3142 0.1488 1
Cl9 0.5917 0.9380 0.7755 1
Cl10 0.6079 0.6858 0.6488 1
Mo6 0.8118 0.4689 0.1467 1
Cl11 0.3333 0.6667 0.5257 1
Cl12 0.3142 0.9221 0.6488 1
I8 0.3298 0.0266 0.8692 1
I9 0.6280 0.9561 0.0533 1
I10 0.9734 0.3032 0.8692 1
Cl13 0.6858 0.6079 0.1488 1
Cl14 0.6537 0.0620 0.2755 1
Mo7 0.6571 0.1882 0.1467 1
Mo8 0.3260 0.8036 0.7779 1
I11 0.9561 0.6280 0.5533 1
Mo9 0.8036 0.3260 0.2779 1
Mo10 0.4689 0.8118 0.6467 1
Mo11 0.1882 0.6571 0.6467 1
Cl15 0.0779 0.3921 0.6488 1
Cs4 0.0000 0.0000 0.4984 1
Cl16 0.3333 0.6667 0.8981 1
Mo12 0.3429 0.5311 0.6467 1
I12 0.6719 0.0439 0.5533 1
```



Entry 10:
Computed, not measured: a relaxed structure of CsNaICl at the PBE level of DFT.

As for the formation energy: -1.684 eV per atom. Its symmetry is No. 123. Its total magnetic moment is 0.00 Bohr magnetons per cell. The calculated volume is 172.3 Å³ per cell.

Structure (CIF):
```
data_CsNaICl
_chemical_formula_sum 'Cs1 Na1 I1 Cl1'
_cell_length_a 4.7678
_cell_length_b 4.7678
_cell_length_c 7.5776
_cell_angle_alpha 90.00
_cell_angle_beta 90.00
_cell_angle_gamma 90.00
_symmetry_space_group_name_H-M 'P 1'
_symmetry_Int_Tables_number 1
_symmetry_space_group_name_Hall 'P 1'
loop_
_atom_site_label
_atom_site_fract_x
_atom_site_fract_y
_atom_site_fract_z
_atom_site_occupancy
I1 0.5000 0.5000 0.0000 1
Cl1 0.0000 0.0000 0.5000 1
Na1 0.0000 0.0000 0.0000 1
Cs1 0.5000 0.5000 0.5000 1
```



Entry 11:
Computed, not measured: a relaxed structure of Cs2PdI2Cl4 at the PBE level of DFT.

As for the formation energy: -1.356 eV per atom. Its symmetry is No. 139. Its total magnetic moment is 0.00 Bohr magnetons per cell. The calculated volume is 318.7 Å³ per cell.

Structure (CIF):
```
data_Cs2PdI2Cl4
_chemical_formula_sum 'Cs2 Pd1 I2 Cl4'
_cell_length_a 7.4623
_cell_length_b 7.4623
_cell_length_c 7.4623
_cell_angle_alpha 111.55
_cell_angle_beta 111.55
_cell_angle_gamma 105.38
_symmetry_space_group_name_H-M 'P 1'
_symmetry_Int_Tables_number 1
_symmetry_space_group_name_Hall 'P 1'
loop_
_atom_site_label
_atom_site_fract_x
_atom_site_fract_y
_atom_site_fract_z
_atom_site_occupancy
Pd1 0.0000 0.0000 0.0000 1
Cs1 0.7500 0.2500 0.5000 1
Cs2 0.2500 0.7500 0.5000 1
Cl1 0.8033 0.8033 0.6066 1
I1 0.6578 0.6578 0.0000 1
Cl2 0.1967 0.1967 0.3934 1
I2 0.3422 0.3422 0.0000 1
Cl3 0.8033 0.1967 0.0000 1
Cl4 0.1967 0.8033 0.0000 1
```



Entry 12:
Computed, not measured: a relaxed structure of Cs5U2S4ICl8 at the PBE level of DFT.

As for the formation energy: -2.001 eV per atom. Its symmetry is No. 71. Its total magnetic moment is 4.00 Bohr magnetons per cell. The calculated volume is 735.2 Å³ per cell.

Structure (CIF):
```
data_Cs5U2S4ICl8
_chemical_formula_sum 'Cs5 U2 S4 I1 Cl8'
_cell_length_a 11.0186
_cell_length_b 11.0186
_cell_length_c 11.0186
_cell_angle_alpha 138.92
_cell_angle_beta 121.15
_cell_angle_gamma 74.27
_symmetry_space_group_name_H-M 'P 1'
_symmetry_Int_Tables_number 1
_symmetry_space_group_name_Hall 'P 1'
loop_
_atom_site_label
_atom_site_fract_x
_atom_site_fract_y
_atom_site_fract_z
_atom_site_occupancy
Cs1 0.0753 0.8364 0.2389 1
Cl1 0.7171 0.9578 0.2407 1
S1 0.5957 0.7333 0.3290 1
I1 0.0000 0.0000 0.0000 1
U1 0.3930 0.3930 0.0000 1
Cl2 0.3851 0.6368 0.7483 1
S2 0.4043 0.2667 0.6710 1
Cl3 0.6149 0.3632 0.2517 1
Cl4 0.2829 0.0422 0.7593 1
Cl5 0.1115 0.3632 0.7483 1
S3 0.4043 0.7333 0.1377 1
U2 0.6070 0.6070 0.0000 1
Cs2 0.9247 0.1636 0.7611 1
Cl6 0.2829 0.5236 0.2407 1
Cl7 0.7171 0.4764 0.7593 1
Cs3 0.5975 0.8364 0.7611 1
Cs4 0.4025 0.1636 0.2389 1
S4 0.5957 0.2667 0.8623 1
Cs5 0.0000 0.5000 0.5000 1
Cl8 0.8885 0.6368 0.2517 1
```